(1)
DFT (PBE-GGA) results for crystalline Li6Zn3P4S16 at its relaxed geometry.

Summary:
* density: 2.3 g/cm³
* corrected total energy (MP2020 scheme): -4.56 eV per atom
* energy above the most stable polymorph in this dataset: 1 meV/atom
* symmetry: P2_1 (4)
* energy relative to the elements: -1005 meV per atom
* E_tot: -4.2812 eV/atom

Cell and atoms, written as POSCAR:
```
Li6Zn3P4S16
1.0
9.290 0.000 0.000
0.000 11.592 0.000
0.000 0.015 11.596
Li S Zn P
12 32 6 8
Direct
0.499 0.627 0.873
0.251 0.622 0.120
0.500 0.373 0.127
0.500 0.123 0.876
0.000 0.627 0.873
0.498 0.126 0.373
0.000 0.877 0.124
0.998 0.874 0.627
0.503 0.623 0.377
0.003 0.377 0.623
0.751 0.378 0.880
0.999 0.373 0.127
0.131 0.486 0.272
0.129 0.266 0.480
0.629 0.734 0.520
0.633 0.233 0.019
0.865 0.229 0.234
0.366 0.977 0.484
0.369 0.982 0.987
0.635 0.734 0.021
0.631 0.514 0.728
0.129 0.482 0.768
0.635 0.238 0.521
0.870 0.521 0.019
0.135 0.762 0.479
0.135 0.266 0.979
0.629 0.518 0.232
0.365 0.771 0.766
0.137 0.984 0.773
0.361 0.480 0.486
0.370 0.771 0.264
0.133 0.767 0.981
0.362 0.269 0.266
0.869 0.018 0.013
0.866 0.023 0.516
0.637 0.016 0.227
0.135 0.986 0.271
0.861 0.520 0.514
0.370 0.479 0.981
0.870 0.229 0.736
0.635 0.014 0.729
0.871 0.729 0.232
0.371 0.271 0.768
0.862 0.731 0.734
0.494 0.375 0.624
0.000 0.126 0.374
0.007 0.123 0.878
0.994 0.625 0.376
0.507 0.877 0.122
0.500 0.874 0.626
0.747 0.621 0.129
0.747 0.126 0.625
0.753 0.124 0.120
0.252 0.371 0.375
0.253 0.876 0.880
0.247 0.379 0.871
0.752 0.629 0.625
0.247 0.874 0.375
```

***

(2)
DFT (PBE-GGA) results for crystalline Ba2CaCuAg2F14 at its relaxed geometry.

Summary:
* density: 4.7 g/cm³
* corrected total energy (MP2020 scheme): -4.82 eV per atom
* symmetry: Cc (9)
* energy relative to the elements: -2699 meV per atom
* E_tot: -4.4964 eV/atom

Cell and atoms, written as POSCAR:
```
Ba2CaCuAg2F14
1.0
2.790 7.102 0.000
-2.790 7.102 0.000
0.000 0.339 15.368
F Cu Ca Ag Ba
28 2 2 4 4
Direct
0.190 0.562 0.281
0.865 0.413 0.040
0.635 0.843 0.906
0.625 0.043 0.271
0.387 0.522 0.113
0.066 0.897 0.659
0.810 0.432 0.720
0.432 0.810 0.220
0.480 0.613 0.387
0.897 0.066 0.159
0.043 0.625 0.771
0.360 0.162 0.095
0.843 0.635 0.406
0.413 0.865 0.540
0.562 0.190 0.781
0.690 0.155 0.989
0.589 0.132 0.461
0.522 0.387 0.613
0.373 0.953 0.727
0.303 0.859 0.008
0.935 0.101 0.341
0.613 0.480 0.887
0.953 0.373 0.227
0.162 0.360 0.595
0.132 0.589 0.961
0.155 0.690 0.489
0.101 0.935 0.841
0.859 0.303 0.508
0.504 0.500 0.500
0.500 0.504 0.000
0.415 0.582 0.751
0.582 0.415 0.251
0.147 0.091 0.125
0.908 0.849 0.376
0.091 0.147 0.625
0.849 0.908 0.876
0.733 0.884 0.625
0.269 0.112 0.375
0.884 0.733 0.125
0.112 0.269 0.875
```

***

(3)
DFT (PBE-GGA) results for crystalline ZrGaPt at its relaxed geometry.

Summary:
* density: 10.9 g/cm³
* symmetry: P-62m (189)
* energy relative to the elements: -966 meV per atom
* E_tot: -6.8487 eV/atom

Cell and atoms, written as POSCAR:
```
ZrGaPt
1.0
1.134 3.718 -6.060
-6.554 -0.118 2.977
0.833 2.925 1.951
Ga Pt Zr
3 3 3
Direct
0.736 0.736 0.000
0.000 0.264 0.000
0.264 0.000 0.000
0.667 0.333 0.000
0.333 0.667 0.000
0.000 0.000 0.500
0.000 0.603 0.500
0.397 0.397 0.500
0.603 0.000 0.500
```

***

(4)
DFT (PBE-GGA) results for crystalline CuSb2Xe6F24 at its relaxed geometry.

Summary:
* density: 3.6 g/cm³
* corrected total energy (MP2020 scheme): -3.34 eV per atom
* symmetry: R-3 (148)
* energy relative to the elements: -1570 meV per atom
* E_tot: -3.0074 eV/atom

Cell and atoms, written as POSCAR:
```
CuSb2Xe6F24
1.0
8.245 -5.150 0.000
8.245 5.150 0.000
5.027 0.000 8.320
F Sb Cu Xe
24 2 1 6
Direct
0.384 0.707 0.556
0.133 0.372 0.091
0.444 0.616 0.293
0.094 0.738 0.019
0.707 0.556 0.384
0.628 0.909 0.867
0.600 0.634 0.880
0.616 0.293 0.444
0.981 0.906 0.262
0.880 0.600 0.634
0.400 0.366 0.120
0.262 0.981 0.906
0.909 0.867 0.628
0.906 0.262 0.981
0.019 0.094 0.738
0.091 0.133 0.372
0.120 0.400 0.366
0.366 0.120 0.400
0.738 0.019 0.094
0.867 0.628 0.909
0.634 0.880 0.600
0.372 0.091 0.133
0.556 0.384 0.707
0.293 0.444 0.616
0.247 0.247 0.247
0.753 0.753 0.753
0.500 0.500 0.500
0.721 0.796 0.236
0.204 0.764 0.279
0.279 0.204 0.764
0.796 0.236 0.721
0.764 0.279 0.204
0.236 0.721 0.796
```

***

(5)
DFT (PBE-GGA) results for crystalline Na3CuO2 at its relaxed geometry.

Summary:
* density: 3.0 g/cm³
* corrected total energy (MP2020 scheme): -4.34 eV per atom
* energy above the most stable polymorph in this dataset: 16 meV/atom
* symmetry: P4_12_12 (92)
* energy relative to the elements: -1344 meV per atom
* E_tot: -4.1092 eV/atom

Cell and atoms, written as POSCAR:
```
Na3CuO2
1.0
-0.290 6.810 3.930
-5.669 -2.906 4.617
8.020 -3.918 7.381
O Na Cu
16 24 8
Direct
0.766 0.465 0.416
0.506 0.739 0.162
0.734 0.965 0.834
0.239 0.994 0.912
0.234 0.535 0.916
0.006 0.761 0.588
0.494 0.261 0.662
0.535 0.234 0.084
0.739 0.506 0.838
0.261 0.494 0.338
0.035 0.266 0.666
0.761 0.006 0.412
0.965 0.734 0.166
0.266 0.035 0.334
0.465 0.766 0.584
0.994 0.239 0.088
0.651 0.235 0.855
0.548 0.452 0.250
0.849 0.735 0.395
0.765 0.349 0.645
0.515 0.515 0.000
0.026 0.555 0.748
0.985 0.015 0.250
0.474 0.055 0.502
0.485 0.485 0.500
0.349 0.765 0.355
0.526 0.945 0.002
0.974 0.445 0.248
0.265 0.151 0.105
0.445 0.974 0.752
0.151 0.265 0.895
0.952 0.952 0.000
0.945 0.526 0.998
0.015 0.985 0.750
0.235 0.651 0.145
0.555 0.026 0.252
0.055 0.474 0.498
0.048 0.048 0.500
0.452 0.548 0.750
0.735 0.849 0.605
0.764 0.236 0.091
0.236 0.764 0.591
0.264 0.264 0.341
0.764 0.236 0.409
0.236 0.764 0.909
0.736 0.736 0.841
0.736 0.736 0.159
0.264 0.264 0.659
```

***

(6)
DFT (PBE-GGA) results for crystalline K3NaB12O20 at its relaxed geometry.

Summary:
* density: 2.3 g/cm³
* corrected total energy (MP2020 scheme): -7.91 eV per atom
* symmetry: P1 (1)
* energy relative to the elements: -2808 meV per atom
* E_tot: -7.5306 eV/atom

Cell and atoms, written as POSCAR:
```
K3NaB12O20
1.0
6.708 0.000 0.000
0.012 9.283 0.000
0.081 1.428 20.956
K O B Na
9 60 36 3
Direct
0.305 0.777 0.535
0.805 0.223 0.965
0.685 0.409 0.618
0.815 0.410 0.118
0.185 0.590 0.882
0.695 0.223 0.466
0.981 0.930 0.257
0.315 0.590 0.382
0.195 0.777 0.034
0.403 0.530 0.251
0.607 0.314 0.246
0.001 0.028 0.139
0.686 0.926 0.178
0.808 0.122 0.598
0.894 0.316 0.746
0.778 0.388 0.849
0.292 0.349 0.466
0.505 0.971 0.358
0.204 0.084 0.321
0.087 0.781 0.713
0.452 0.262 0.042
0.915 0.220 0.288
0.733 0.534 0.437
0.398 0.385 0.161
0.315 0.110 0.430
0.791 0.651 0.034
0.342 0.070 0.117
0.805 0.924 0.681
0.382 0.291 0.873
0.691 0.123 0.097
0.882 0.709 0.627
0.904 0.774 0.933
0.843 0.932 0.384
0.308 0.878 0.902
0.767 0.535 0.936
0.953 0.738 0.458
0.393 0.683 0.754
0.048 0.262 0.542
0.618 0.708 0.127
0.112 0.675 0.255
0.603 0.614 0.839
0.233 0.466 0.063
0.657 0.931 0.882
0.588 0.219 0.787
0.411 0.780 0.213
0.210 0.349 0.966
0.117 0.294 0.374
0.268 0.466 0.563
0.685 0.891 0.571
0.596 0.774 0.433
0.720 0.388 0.349
0.603 0.469 0.749
0.997 0.972 0.858
0.223 0.612 0.151
0.279 0.612 0.651
0.306 0.077 0.819
0.496 0.029 0.642
0.191 0.880 0.402
0.097 0.227 0.066
0.103 0.386 0.661
0.813 0.890 0.070
0.157 0.069 0.618
0.185 0.109 0.929
0.548 0.739 0.958
0.895 0.468 0.249
0.404 0.226 0.567
0.896 0.613 0.339
0.102 0.531 0.751
0.709 0.652 0.534
0.285 0.489 0.125
0.750 0.675 0.965
0.075 0.200 0.326
0.717 0.350 0.784
0.758 0.753 0.576
0.750 0.675 0.465
0.034 0.414 0.722
0.468 0.413 0.222
0.358 0.110 0.608
0.784 0.511 0.375
0.782 0.349 0.284
0.301 0.010 0.378
0.242 0.248 0.425
0.251 0.325 0.035
0.642 0.890 0.393
0.494 0.151 0.086
0.701 0.992 0.623
0.217 0.650 0.716
0.796 0.993 0.121
0.201 0.008 0.877
0.216 0.489 0.625
0.741 0.752 0.076
0.968 0.582 0.278
0.005 0.151 0.586
0.716 0.511 0.875
0.995 0.850 0.414
0.250 0.325 0.535
0.569 0.804 0.173
0.428 0.196 0.825
0.533 0.586 0.778
0.505 0.849 0.914
0.258 0.247 0.924
0.928 0.804 0.674
0.141 0.111 0.107
0.286 0.647 0.216
0.858 0.890 0.892
0.508 0.933 0.754
0.008 0.067 0.746
0.491 0.068 0.246
```

***

(7)
DFT (PBE-GGA) results for crystalline K2NaNdBr6 at its relaxed geometry.

Summary:
* density: 3.1 g/cm³
* corrected total energy (MP2020 scheme): -3.88 eV per atom
* symmetry: Fm-3m (225)
* energy relative to the elements: -2065 meV per atom
* E_tot: -3.5581 eV/atom

Cell and atoms, written as POSCAR:
```
K2NaNdBr6
1.0
4.249 -1.042 6.884
-2.806 3.049 7.025
-2.792 -5.014 5.796
Na Br Nd K
1 6 1 2
Direct
0.500 0.500 0.500
0.751 0.249 0.249
0.249 0.751 0.249
0.249 0.249 0.751
0.751 0.249 0.751
0.751 0.751 0.249
0.249 0.751 0.751
0.000 0.000 0.000
0.250 0.250 0.250
0.750 0.750 0.750
```

***

(8)
DFT (PBE-GGA) results for crystalline Na3BrCl2 at its relaxed geometry.

Summary:
* density: 2.4 g/cm³
* corrected total energy (MP2020 scheme): -3.47 eV per atom
* energy above the most stable polymorph in this dataset: 4 meV/atom
* symmetry: I4/mmm (139)
* energy relative to the elements: -1924 meV per atom
* E_tot: -3.2693 eV/atom

Cell and atoms, written as POSCAR:
```
Na3BrCl2
1.0
-2.067 2.067 8.738
2.067 -2.067 8.738
2.067 2.067 -8.738
Cl Br Na
2 1 3
Direct
0.832 0.832 0.000
0.168 0.168 0.000
0.500 0.500 0.000
0.000 0.000 0.000
0.670 0.670 0.000
0.330 0.330 0.000
```